The following is a DFT calculation (PBE-GGA) of a relaxed Mg2TiMo3S8 crystal.

Lattice parameters (Å, degrees): 7.2459 7.2459 7.2459 62.50 62.50 62.50
Closest atoms and distances in Å follow each position.
Fractional positions:
Mg1 0.1225 0.1225 0.1225  4 S 2.41-2.45
Mg2 0.8775 0.8775 0.8775  4 S 2.41-2.45
Ti1 0.5000 0.5000 0.5000  6 S 2.50
Mo1 0.0000 0.5000 0.5000  6 S 2.51-2.52
Mo2 0.5000 0.0000 0.5000  6 S 2.51-2.52
Mo3 0.5000 0.5000 0.0000  6 S 2.51-2.52
S1 0.2599 0.2599 0.7212  1 Mg 2.45, 1 Ti 2.50, 2 Mo 2.52
S2 0.2599 0.7212 0.2599  1 Mg 2.45, 1 Ti 2.50, 2 Mo 2.52
S3 0.2611 0.2611 0.2611  1 Mg 2.41, 3 Mo 2.51
S4 0.2788 0.7401 0.7401  1 Mg 2.45, 1 Ti 2.50, 2 Mo 2.52
S5 0.7212 0.2599 0.2599  1 Mg 2.45, 1 Ti 2.50, 2 Mo 2.52
S6 0.7389 0.7389 0.7389  1 Mg 2.41, 3 Mo 2.51
S7 0.7401 0.2788 0.7401  1 Mg 2.45, 1 Ti 2.50, 2 Mo 2.52
S8 0.7401 0.7401 0.2788  1 Mg 2.45, 1 Ti 2.50, 2 Mo 2.52

Values from the calculation:
Corrected total energy (MP2020 scheme) = -91.68 eV/cell
Formation enthalpy at 0 K = -1.07 eV per atom
SG = No. 166